Entry 1:
A plane-wave DFT calculation with GGA+U was carried out for an optimized crystal structure of ScVSe2O8.

Summary:
- E_form (kcal/mol of atoms) = -49.2
- DFT total energy (Ry/atom) = -0.492

```
ScVSe2O8
1.0
16.238 0.000 0.000
0.000 6.727 0.000
0.000 0.377 6.793
Sc O Se V
4 32 8 4
direct
0.803 0.442 0.857
0.697 0.442 0.357
0.197 0.558 0.143
0.303 0.558 0.643
0.071 0.006 0.972
0.678 0.476 0.037
0.317 0.567 0.321
0.683 0.433 0.679
0.184 0.249 0.137
0.316 0.249 0.637
0.216 0.868 0.120
0.060 0.926 0.371
0.560 0.074 0.129
0.684 0.751 0.363
0.070 0.620 0.134
0.571 0.994 0.528
0.919 0.711 0.310
0.429 0.006 0.472
0.940 0.074 0.629
0.817 0.433 0.179
0.081 0.289 0.690
0.930 0.380 0.866
0.784 0.132 0.880
0.929 0.994 0.028
0.716 0.132 0.380
0.183 0.567 0.821
0.419 0.289 0.190
0.570 0.380 0.366
0.816 0.751 0.863
0.822 0.476 0.537
0.284 0.868 0.620
0.430 0.620 0.634
0.178 0.524 0.463
0.440 0.926 0.871
0.581 0.711 0.810
0.322 0.524 0.963
0.606 0.460 0.853
0.317 0.066 0.475
0.183 0.066 0.975
0.394 0.540 0.147
0.894 0.460 0.353
0.683 0.934 0.525
0.817 0.934 0.025
0.106 0.540 0.647
0.984 0.169 0.815
0.016 0.831 0.185
0.516 0.169 0.315
0.484 0.831 0.685
```

---

Entry 2:
A plane-wave DFT calculation with GGA+U was carried out for an optimized crystal structure of Mn3NbF6.

Summary:
- E_form (kcal/mol of atoms) = -46.1
- DFT total energy (Ry/atom) = -0.451

```
Mn3NbF6
1.0
-2.839 -4.961 1.838
-2.794 4.698 -1.669
0.436 4.888 -8.272
F Mn Nb
6 3 1
direct
0.496 0.000 0.803
0.504 0.000 0.197
0.905 0.647 0.246
0.185 0.226 0.332
0.815 0.774 0.668
0.095 0.353 0.754
0.000 0.500 0.000
0.000 0.000 0.500
0.500 0.500 0.000
0.000 0.000 0.000
```

---

Entry 3:
A plane-wave DFT calculation with GGA+U was carried out for an optimized crystal structure of NiAs2O6.

Summary:
- E_form (kcal/mol of atoms) = -37.0
- DFT total energy (Ry/atom) = -0.429

```
NiAs2O6
1.0
3.441 0.395 3.389
-6.032 -2.163 6.377
-0.777 -4.257 -2.179
As O Ni
4 12 2
direct
0.667 0.250 0.333
0.667 0.750 0.333
0.333 0.750 0.667
0.333 0.250 0.667
0.000 0.864 0.638
0.000 0.136 0.362
0.362 0.364 0.362
0.362 0.864 0.362
0.000 0.364 0.638
0.638 0.364 0.000
0.638 0.636 0.638
0.638 0.864 0.000
0.362 0.636 0.000
0.362 0.136 0.000
0.638 0.136 0.638
0.000 0.636 0.362
0.000 0.000 0.000
0.000 0.500 0.000
```

---

Entry 4:
A plane-wave DFT calculation with GGA+U was carried out for an optimized crystal structure of Li3Mn4O8.

Summary:
- E_form (kcal/mol of atoms) = -46.6
- DFT total energy (Ry/atom) = -0.491

```
Li3Mn4O8
1.0
-0.449 5.469 1.621
-2.983 2.101 -7.912
-12.404 -2.019 3.380
O Li Mn
32 12 16
direct
0.756 0.639 0.892
0.508 0.873 0.600
0.270 0.725 0.434
0.491 0.229 0.934
0.006 0.871 0.600
0.009 0.131 0.736
0.760 0.931 0.869
0.755 0.059 0.125
0.508 0.123 0.747
0.770 0.275 0.566
0.006 0.423 0.366
0.253 0.372 0.767
0.256 0.286 0.570
0.007 0.568 0.633
0.258 0.618 0.246
0.014 0.227 0.932
0.753 0.628 0.233
0.506 0.577 0.634
0.758 0.362 0.112
0.758 0.382 0.754
0.506 0.129 0.400
0.255 0.941 0.875
0.507 0.432 0.367
0.258 0.638 0.888
0.509 0.869 0.264
0.991 0.771 0.066
0.256 0.361 0.108
0.008 0.127 0.400
0.514 0.773 0.068
0.260 0.069 0.131
0.756 0.714 0.430
0.008 0.877 0.253
0.018 0.466 0.201
0.760 0.006 0.320
0.299 0.960 0.475
0.518 0.534 0.799
0.252 0.035 0.288
0.757 0.579 0.042
0.257 0.421 0.958
0.494 0.467 0.199
0.994 0.533 0.801
0.752 0.965 0.712
0.260 0.994 0.680
0.799 0.040 0.525
0.008 0.335 0.660
0.508 0.209 0.096
0.008 0.791 0.904
0.757 0.288 0.403
0.253 0.827 0.153
0.753 0.173 0.847
0.256 0.286 0.408
0.257 0.712 0.597
0.508 0.665 0.340
0.012 0.664 0.344
0.756 0.714 0.592
0.256 0.164 0.840
0.006 0.207 0.096
0.756 0.836 0.160
0.506 0.793 0.904
0.512 0.336 0.656
```

---

Entry 5:
A plane-wave DFT calculation with GGA+U was carried out for an optimized crystal structure of Mn4SiO7.

Summary:
- E_form (kcal/mol of atoms) = -53.6
- piezoelectric modulus e_max (C/m²) = 0.26
- DFT total energy (Ry/atom) = -0.570

```
Mn4SiO7
1.0
4.012 -2.423 1.563
-3.527 -1.178 7.228
-4.510 -6.638 1.288
Mn O Si
8 14 2
direct
0.003 0.887 0.704
0.003 0.704 0.409
0.503 0.113 0.296
0.003 0.409 0.887
0.511 0.000 0.000
0.011 0.000 0.000
0.503 0.591 0.113
0.503 0.296 0.591
0.261 0.795 0.153
0.799 0.130 0.494
0.799 0.377 0.130
0.771 0.667 0.667
0.761 0.948 0.205
0.761 0.847 0.948
0.761 0.205 0.847
0.261 0.153 0.052
0.299 0.623 0.870
0.299 0.870 0.506
0.299 0.506 0.623
0.799 0.494 0.377
0.271 0.333 0.333
0.261 0.052 0.795
0.938 0.333 0.333
0.438 0.667 0.667
```

---

Entry 6:
A plane-wave DFT calculation with GGA+U was carried out for an optimized crystal structure of BaU3W3Se2O14.

Summary:
- E_form (kcal/mol of atoms) = -43.3
- DFT total energy (Ry/atom) = -0.547

```
BaU3W3Se2O14
1.0
0.000 0.000 -7.170
0.000 -7.473 0.000
-17.219 0.000 0.000
O U Ba Se W
28 6 2 4 6
direct
0.940 0.849 0.601
0.783 0.147 0.500
0.953 0.617 0.000
0.496 0.908 0.249
0.307 0.071 0.634
0.647 0.131 0.640
0.647 0.131 0.360
0.504 0.837 0.500
0.453 0.383 0.500
0.307 0.071 0.366
0.807 0.929 0.866
0.940 0.849 0.399
0.440 0.151 0.101
0.664 0.908 0.000
0.495 0.646 0.889
0.995 0.354 0.611
0.440 0.151 0.899
0.996 0.092 0.749
0.496 0.908 0.751
0.147 0.869 0.140
0.164 0.092 0.500
0.807 0.929 0.134
0.495 0.646 0.111
0.996 0.092 0.251
0.283 0.853 0.000
0.147 0.869 0.860
0.995 0.354 0.389
0.004 0.163 0.000
0.972 0.890 0.000
0.472 0.899 0.895
0.472 0.110 0.500
0.972 0.101 0.395
0.472 0.899 0.105
0.972 0.101 0.605
0.330 0.426 0.000
0.830 0.574 0.500
0.966 0.879 0.795
0.966 0.879 0.205
0.466 0.121 0.295
0.466 0.121 0.705
0.840 0.377 0.000
0.565 0.637 0.293
0.340 0.623 0.500
0.565 0.637 0.707
0.065 0.363 0.207
0.065 0.363 0.793
```

---

Entry 7:
A plane-wave DFT calculation with GGA+U was carried out for an optimized crystal structure of KSmMo2O8.

Summary:
- E_form (kcal/mol of atoms) = -58.6
- DFT total energy (Ry/atom) = -0.525

```
KSmMo2O8
1.0
-5.214 0.000 0.000
0.000 0.000 -8.279
0.000 -18.580 0.000
O Sm K Mo
32 4 4 8
direct
0.747 0.497 0.036
0.274 0.841 0.900
0.774 0.159 0.600
0.602 0.525 0.189
0.774 0.659 0.400
0.741 0.813 0.093
0.226 0.341 0.600
0.398 0.975 0.189
0.274 0.341 0.100
0.247 0.003 0.536
0.759 0.813 0.593
0.726 0.159 0.100
0.241 0.687 0.593
0.753 0.497 0.536
0.747 0.997 0.964
0.726 0.659 0.900
0.241 0.187 0.407
0.759 0.313 0.407
0.602 0.025 0.811
0.741 0.313 0.907
0.253 0.503 0.964
0.259 0.687 0.093
0.226 0.841 0.400
0.898 0.025 0.311
0.898 0.525 0.689
0.259 0.187 0.907
0.253 0.003 0.036
0.753 0.997 0.464
0.102 0.975 0.689
0.398 0.475 0.811
0.102 0.475 0.311
0.247 0.503 0.464
0.000 0.250 0.006
0.500 0.250 0.506
0.000 0.750 0.994
0.500 0.750 0.494
0.000 0.250 0.770
0.500 0.750 0.730
0.000 0.750 0.230
0.500 0.250 0.270
0.477 0.016 0.899
0.023 0.016 0.399
0.023 0.516 0.601
0.523 0.984 0.101
0.477 0.516 0.101
0.523 0.484 0.899
0.977 0.484 0.399
0.977 0.984 0.601
```

---

Entry 8:
A plane-wave DFT calculation with GGA+U was carried out for an optimized crystal structure of SrCo2As2O8.

Summary:
- E_form (kcal/mol of atoms) = -36.8
- DFT total energy (Ry/atom) = -0.444

```
SrCo2As2O8
1.0
5.872 0.000 0.000
-0.954 7.056 0.000
-2.929 -3.042 8.249
O As Sr Co
16 4 2 4
direct
0.348 0.618 0.906
0.258 0.081 0.088
0.159 0.464 0.295
0.875 0.138 0.595
0.769 0.074 0.221
0.479 0.781 0.267
0.841 0.536 0.705
0.742 0.919 0.912
0.125 0.862 0.405
0.365 0.584 0.744
0.973 0.692 0.078
0.027 0.308 0.922
0.652 0.382 0.094
0.231 0.926 0.779
0.521 0.219 0.733
0.635 0.416 0.256
0.523 0.168 0.272
0.817 0.311 0.743
0.477 0.832 0.728
0.183 0.689 0.257
0.820 0.757 0.510
0.180 0.243 0.490
0.341 0.226 0.909
0.924 0.210 0.088
0.076 0.790 0.912
0.659 0.774 0.091
```

---

Entry 9:
A plane-wave DFT calculation with GGA+U was carried out for an optimized crystal structure of Li3Fe9O5F11.

Summary:
- E_form (kcal/mol of atoms) = -51.7
- DFT total energy (Ry/atom) = -0.424

```
Li3Fe9O5F11
1.0
6.143 0.000 0.000
2.984 5.463 0.000
2.788 1.451 9.840
Fe O Li F
9 5 3 11
direct
0.242 0.252 0.751
0.768 0.729 0.254
0.999 0.500 0.997
0.735 0.260 0.261
0.251 0.728 0.252
0.493 0.991 0.991
0.276 0.747 0.745
0.751 0.274 0.745
0.490 0.525 0.990
0.114 0.651 0.118
0.865 0.361 0.888
0.340 0.903 0.875
0.626 0.623 0.126
0.375 0.370 0.879
0.198 0.174 0.427
0.999 0.004 0.994
0.817 0.817 0.577
0.888 0.378 0.366
0.131 0.613 0.646
0.384 0.365 0.365
0.387 0.867 0.354
0.874 0.885 0.878
0.094 0.123 0.132
0.627 0.130 0.641
0.635 0.628 0.628
0.878 0.889 0.373
0.125 0.112 0.624
0.638 0.100 0.122
```

---

Entry 10:
A plane-wave DFT calculation with GGA+U was carried out for an optimized crystal structure of Li9Mn2Co5O16.

Summary:
- E_form (kcal/mol of atoms) = -42.6
- DFT total energy (Ry/atom) = -0.429

```
Li9Mn2Co5O16
1.0
-1.848 1.694 -5.165
-6.571 -0.172 0.701
-0.647 7.570 1.193
Co Li O Mn
5 9 16 2
direct
0.876 0.748 0.750
0.623 0.248 0.249
0.759 0.495 0.490
0.249 0.490 0.492
0.501 0.998 0.002
0.941 0.883 0.374
0.808 0.619 0.135
0.128 0.246 0.249
0.314 0.620 0.136
0.691 0.367 0.876
0.432 0.882 0.366
0.059 0.134 0.611
0.187 0.370 0.880
0.569 0.125 0.620
0.357 0.202 0.434
0.966 0.445 0.681
0.459 0.468 0.684
0.024 0.571 0.329
0.528 0.566 0.319
0.905 0.285 0.066
0.586 0.709 0.925
0.281 0.044 0.828
0.094 0.706 0.921
0.428 0.280 0.072
0.778 0.050 0.831
0.651 0.805 0.585
0.222 0.938 0.165
0.823 0.204 0.428
0.731 0.933 0.165
0.156 0.812 0.580
0.375 0.753 0.749
0.997 0.004 0.006
```

---

Entry 11:
A plane-wave DFT calculation with GGA+U was carried out for an optimized crystal structure of Ba2AlNi3O7.

Summary:
- E_form (kcal/mol of atoms) = -42.4
- DFT total energy (Ry/atom) = -0.402

```
Ba2AlNi3O7
1.0
3.750 0.000 0.000
0.000 3.912 0.000
0.000 0.000 11.335
O Ni Al Ba
7 3 1 2
direct
0.000 0.500 0.110
0.000 0.000 0.667
0.000 0.000 0.333
0.500 0.000 0.890
0.500 0.000 0.110
0.000 0.500 0.500
0.000 0.500 0.890
0.000 0.000 0.147
0.000 0.000 0.853
0.000 0.000 0.500
0.500 0.500 0.000
0.500 0.500 0.312
0.500 0.500 0.688
```